Version one
Here is an optimized crystal structure of MgAu4Se4Cl4O12 from Materials Project. Energies are from PBE.

Properties
- crystal system = triclinic
- density (g/cm³) = 4.4

The structure in POSCAR format:
```
MgAu4Se4Cl4O12
1.0
-3.0803 -3.7806 -0.6021
0.8931 -2.2278 9.9573
-8.7613 5.5283 4.3188
Mg Au Se Cl O
1 4 4 4 12
Direct
0.5297 0.2611 0.8393
0.0058 0.5893 0.1759
0.9924 0.0241 0.0062
0.0752 0.4333 0.8236
0.0237 0.9722 0.4996
0.7518 0.8537 0.2789
0.1729 0.7556 0.9020
0.8459 0.2978 0.1022
0.0989 0.1401 0.7047
0.4447 0.4591 0.6835
0.6845 0.4830 0.3217
0.2833 0.1655 0.4306
0.7634 0.7796 0.5591
0.6940 0.9553 0.1386
0.7413 0.3457 0.9514
0.0270 0.7557 0.2474
0.1028 0.1877 0.0771
0.0798 0.4245 0.1033
0.9041 0.8623 0.9408
0.2888 0.6841 0.0460
0.7676 0.1595 0.7438
0.9582 0.9735 0.3241
0.9468 0.6483 0.8685
0.2458 0.1046 0.8538
0.0995 0.9779 0.6757
```

Version two
Here is an optimized crystal structure of MgAu4Se4Cl4O12 from Materials Project. Energies are from PBE.

Properties
- crystal system = triclinic
- density (g/cm³) = 4.2

The structure in POSCAR format:
```
MgAu4Se4Cl4O12
1.0
-1.8030 -0.8196 -4.9473
1.4601 -9.8903 0.7851
-10.0174 -2.6648 3.3689
Mg Au Se Cl O
1 4 4 4 12
Direct
0.6847 0.6652 0.0045
0.0357 0.5738 0.2184
0.0107 0.9916 0.0122
0.9857 0.4043 0.8316
0.9912 0.0008 0.5119
0.7642 0.8584 0.2907
0.1385 0.7333 0.8314
0.8575 0.2808 0.1245
0.2418 0.1317 0.7403
0.2589 0.4826 0.6666
0.5335 0.5755 0.2091
0.2383 0.1853 0.4502
0.7396 0.8171 0.5785
0.7157 0.9273 0.1376
0.7371 0.3512 0.9823
0.0390 0.7626 0.2797
0.0874 0.1663 0.0803
0.0869 0.3898 0.1526
0.9452 0.8106 0.9442
0.4141 0.7090 0.8952
0.9615 0.2204 0.7740
0.8961 0.0038 0.3346
0.9614 0.5863 0.8952
0.3072 0.0450 0.8829
0.0904 0.9963 0.6893
```

Version three
Here is an optimized crystal structure of MgAu4Se4Cl4O12 from Materials Project. Energies are from PBE.

Properties
- crystal system = triclinic
- density (g/cm³) = 4.9

The structure in POSCAR format:
```
MgAu4Se4Cl4O12
1.0
-3.6761 1.8156 1.8278
-0.2521 -6.1095 7.9627
7.4640 5.6406 6.3674
Mg Au Se Cl O
1 4 4 4 12
Direct
0.9557 0.3893 0.5524
0.0416 0.5760 0.1840
0.9642 0.0032 0.0121
0.9869 0.4298 0.8087
0.9739 0.9899 0.5097
0.7437 0.8559 0.2657
0.1601 0.7125 0.9123
0.7689 0.2959 0.0969
0.2566 0.1155 0.7480
0.4351 0.4809 0.5693
0.7542 0.4978 0.3329
0.2019 0.1883 0.4629
0.7395 0.7988 0.5487
0.6548 0.9457 0.1228
0.6369 0.3257 0.9516
0.0758 0.7542 0.2559
0.0531 0.1557 0.1061
0.0730 0.4018 0.1139
0.8761 0.8407 0.9281
0.3106 0.6472 0.0608
0.9932 0.2629 0.7125
0.9195 0.9837 0.3312
0.8941 0.6095 0.8725
0.2693 0.0635 0.8984
0.0253 0.0007 0.6901
```

Version four
Here is an optimized crystal structure of MgAu4Se4Cl4O12 from Materials Project. Energies are from PBE.

Properties
- crystal system = triclinic
- density (g/cm³) = 4.8

The structure in POSCAR format:
```
MgAu4Se4Cl4O12
1.0
-1.6129 1.0392 4.1452
-8.1695 -5.4296 -1.0144
4.9949 -9.4144 3.8227
Mg Au Se Cl O
1 4 4 4 12
Direct
0.8348 0.6402 0.0675
0.0238 0.4856 0.3997
0.0146 0.0202 0.9947
0.9800 0.4170 0.8185
0.0271 0.9934 0.4889
0.7250 0.8978 0.2433
0.2303 0.7242 0.8843
0.7665 0.3113 0.0773
0.2638 0.1244 0.7322
0.3075 0.4863 0.6822
0.5137 0.5236 0.3558
0.2644 0.1924 0.4616
0.7570 0.8053 0.5142
0.6884 0.0036 0.1104
0.6556 0.3615 0.9294
0.9078 0.7552 0.2011
0.0894 0.2045 0.0538
0.9399 0.4456 0.1227
0.9412 0.8326 0.9372
0.4050 0.6748 0.0157
0.9478 0.2331 0.7512
0.0140 0.9806 0.3109
0.9560 0.6026 0.8890
0.3323 0.0414 0.8726
0.0667 0.9987 0.6694
```

It is version three that is the least stable of them.

Version one
Here is an optimized crystal structure of MgAu4Se4Cl4O12 from Materials Project. Energies are from PBE.

Properties
- crystal system = triclinic
- density (g/cm³) = 4.4

The structure in POSCAR format:
```
MgAu4Se4Cl4O12
1.0
-4.2912 1.8339 -1.1568
-3.1730 -3.6682 8.8061
1.7555 9.5807 5.9247
Mg Au Se Cl O
1 4 4 4 12
Direct
0.8376 0.2676 0.3036
0.0575 0.5498 0.2019
0.0205 0.9897 0.9952
0.0247 0.4142 0.8118
0.9907 0.0359 0.5002
0.7824 0.8950 0.2705
0.2414 0.6940 0.9253
0.6581 0.2257 0.0340
0.2910 0.1362 0.7340
0.3889 0.4836 0.6766
0.7996 0.4828 0.3768
0.2655 0.2362 0.4418
0.7031 0.8444 0.5485
0.7087 0.9547 0.1248
0.6740 0.3575 0.9222
0.1048 0.8522 0.2612
0.0177 0.1843 0.0273
0.6506 0.3023 0.1594
0.9748 0.7927 0.9734
0.3136 0.6005 0.0514
0.9951 0.2228 0.7605
0.8373 0.0652 0.3371
0.9808 0.5999 0.8575
0.3352 0.0380 0.8660
0.1242 0.0060 0.6663
```

Version two
Here is an optimized crystal structure of MgAu4Se4Cl4O12 from Materials Project. Energies are from PBE.

Properties
- crystal system = triclinic
- density (g/cm³) = 4.7

The structure in POSCAR format:
```
MgAu4Se4Cl4O12
1.0
-3.5895 -0.5753 3.0613
2.6129 -9.4261 2.0364
7.8622 2.5864 7.4109
Mg Au Se Cl O
1 4 4 4 12
Direct
0.1117 0.4395 0.4336
0.0418 0.5797 0.2031
0.0174 0.9971 0.9968
0.9731 0.4194 0.8091
0.9814 0.0094 0.4928
0.7491 0.8671 0.2455
0.2154 0.7126 0.8959
0.8382 0.2895 0.0901
0.2505 0.1306 0.7474
0.2442 0.4871 0.6547
0.6088 0.4820 0.4221
0.2594 0.1948 0.4547
0.7200 0.8259 0.5266
0.7022 0.9494 0.0978
0.7245 0.3626 0.9401
0.0638 0.7686 0.2607
0.1062 0.1683 0.0759
0.0890 0.3860 0.1620
0.9321 0.8325 0.9137
0.3637 0.6560 0.0366
0.9398 0.2302 0.7525
0.8840 0.0107 0.3109
0.9274 0.6044 0.8599
0.3286 0.0455 0.8925
0.0808 0.0012 0.6773
```

It is version two that is the least stable of them.

Version one
Here is an optimized crystal structure of CsAuI4O12 from Materials Project. Energies are from PBE.

Properties
- crystal system = monoclinic
- density (g/cm³) = 5.0

The structure in POSCAR format:
```
CsAuI4O12
1.0
0.0000 -5.8783 0.0000
-6.6988 2.9392 2.3001
0.0117 0.0000 -8.6894
Cs Au I O
1 1 4 12
Direct
0.0412 0.0000 0.0000
0.2358 0.0000 0.5000
0.2855 0.6396 0.1693
0.6459 0.3604 0.8307
0.6762 0.3025 0.3492
0.3738 0.6975 0.6508
0.1186 0.8067 0.2722
0.3118 0.1933 0.7278
0.0821 0.4139 0.2079
0.6682 0.5861 0.7921
0.1428 0.5971 0.9678
0.5458 0.4029 0.0322
0.6239 0.0622 0.2021
0.5617 0.9378 0.7979
0.8344 0.2999 0.5279
0.5346 0.7001 0.4721
0.3484 0.2354 0.4147
0.1130 0.7646 0.5853
```

Version two
Here is an optimized crystal structure of CsAuI4O12 from Materials Project. Energies are from PBE.

Properties
- crystal system = triclinic
- density (g/cm³) = 5.1

The structure in POSCAR format:
```
CsAuI4O12
1.0
7.9819 0.0000 0.0000
0.7728 8.0789 0.0000
3.5964 2.4904 10.3329
Cs Au I O
2 2 8 24
Direct
0.0561 0.1780 0.1444
0.9439 0.8220 0.8556
0.5718 0.0468 0.2129
0.4282 0.9532 0.7871
0.2828 0.2906 0.4127
0.7172 0.7094 0.5873
0.6600 0.3337 0.9042
0.3400 0.6663 0.0958
0.2396 0.7925 0.4691
0.7604 0.2075 0.5309
0.7600 0.6542 0.2493
0.2400 0.3458 0.7507
0.3662 0.2109 0.2542
0.6338 0.7891 0.7458
0.3456 0.5137 0.3377
0.6544 0.4863 0.6623
0.0598 0.3131 0.3983
0.9402 0.6869 0.6017
0.7035 0.1484 0.8363
0.2965 0.8516 0.1637
0.4207 0.3525 0.9502
0.5793 0.6475 0.0498
0.7012 0.2375 0.0676
0.2988 0.7625 0.9324
0.4862 0.8535 0.3724
0.5138 0.1465 0.6276
0.1827 0.9825 0.5316
0.8173 0.0175 0.4684
0.3136 0.6568 0.5986
0.6864 0.3432 0.4014
0.7786 0.8895 0.1536
0.2214 0.1105 0.8464
0.8624 0.6782 0.3685
0.1376 0.3218 0.6315
0.9526 0.5905 0.1320
0.0474 0.4095 0.8680
```

It is version one that is the least stable of them.

Version one
Here is an optimized crystal structure of Cs7LiAu5O2 from Materials Project. Energies are from PBE.

Properties
- crystal system = triclinic
- density (g/cm³) = 5.7

The structure in POSCAR format:
```
Cs7LiAu5O2
1.0
-6.0374 -0.1023 2.1079
-3.1578 -2.7865 -8.7654
4.7131 -7.3079 5.9693
Cs Li Au O
7 1 5 2
Direct
0.7220 0.5809 0.6134
0.6140 0.8089 0.0438
0.8398 0.0483 0.6627
0.1326 0.3732 0.3208
0.2060 0.9391 0.3356
0.5106 0.2066 0.9923
0.0326 0.4893 0.9964
0.1803 0.6992 0.8196
0.6267 0.6355 0.2817
0.2848 0.8072 0.6520
0.0354 0.9851 0.9796
0.3276 0.4113 0.7166
0.6746 0.1738 0.3613
0.0492 0.7695 0.9721
0.0139 0.1971 0.9898
```

Version two
Here is an optimized crystal structure of Cs7LiAu5O2 from Materials Project. Energies are from PBE.

Properties
- crystal system = orthorhombic
- density (g/cm³) = 5.7

The structure in POSCAR format:
```
Cs7LiAu5O2
1.0
-1.9113 -4.1651 -4.4971
6.4289 -6.9167 3.6737
-8.4601 2.6158 5.7566
Cs Li Au O
7 1 5 2
Direct
0.8305 0.6157 0.6643
0.4966 0.8152 0.0000
0.8305 0.0486 0.6643
0.1662 0.3843 0.3357
0.1662 0.9514 0.3357
0.4966 0.1848 0.0000
0.0390 0.5000 0.0000
0.5483 0.5000 0.0000
0.6439 0.6399 0.2798
0.3116 0.8107 0.6214
0.9981 0.0000 0.0000
0.3641 0.3601 0.7202
0.6902 0.1893 0.3786
0.0008 0.7971 0.0000
0.0008 0.2029 0.0000
```

Version three
Here is an optimized crystal structure of Cs7LiAu5O2 from Materials Project. Energies are from PBE.

Properties
- crystal system = monoclinic
- density (g/cm³) = 5.5

The structure in POSCAR format:
```
Cs7LiAu5O2
1.0
5.7002 -0.0173 -1.7650
-1.4087 8.7354 -4.6348
0.3204 0.4416 11.4983
Cs Li Au O
7 1 5 2
Direct
0.8533 0.6040 0.7198
0.5043 0.8044 0.0127
0.8533 0.1158 0.7198
0.1645 0.3775 0.3242
0.1645 0.9467 0.3242
0.5043 0.2083 0.0127
0.0129 0.5160 0.0319
0.7842 0.7379 0.4757
0.6115 0.6134 0.2268
0.2631 0.7805 0.5610
0.0038 0.0060 0.0120
0.3795 0.3833 0.7666
0.6874 0.1858 0.3717
0.0051 0.8020 0.0142
0.0051 0.2121 0.0142
```

It is version two that is the least stable of them.

Version one
Here is an optimized crystal structure of Dy5SbAu2 from Materials Project. Energies are from PBE.

Properties
- crystal system = tetragonal
- density (g/cm³) = 10.3

The structure in POSCAR format:
```
Dy5SbAu2
1.0
7.8476 3.6303 0.6229
2.3470 -3.7951 7.4324
-2.8389 -4.2938 -6.9754
Dy Sb Au
10 2 4
Direct
0.5000 0.5000 0.0000
0.0000 0.0000 0.0000
0.5148 0.0148 0.8140
0.2008 0.7008 0.1860
0.0148 0.2008 0.5000
0.7008 0.5148 0.5000
0.4852 0.9852 0.1860
0.7992 0.2992 0.8140
0.9852 0.7992 0.5000
0.2992 0.4852 0.5000
0.2500 0.2500 0.0000
0.7500 0.7500 0.0000
0.1362 0.6362 0.7724
0.8638 0.3638 0.2276
0.6362 0.8638 0.5000
0.3638 0.1362 0.5000
```

Version two
Here is an optimized crystal structure of Dy5SbAu2 from Materials Project. Energies are from PBE.

Properties
- crystal system = tetragonal
- density (g/cm³) = 9.3

The structure in POSCAR format:
```
Dy5SbAu2
1.0
-3.6943 3.6943 8.6719
3.6943 -3.6943 8.6719
3.6943 3.6943 -8.6719
Dy Sb Au
10 2 4
Direct
0.6689 0.1689 0.1698
0.4991 0.6689 0.5000
0.8311 0.0009 0.5000
0.1689 0.9991 0.5000
0.5009 0.3311 0.5000
0.5000 0.5000 0.0000
0.9991 0.4991 0.8302
0.0000 0.0000 0.0000
0.3311 0.8311 0.8302
0.0009 0.5009 0.1698
0.7500 0.7500 0.0000
0.2500 0.2500 0.0000
0.6277 0.8723 0.5000
0.3723 0.1277 0.5000
0.8723 0.3723 0.2447
0.1277 0.6277 0.7553
```

It is version two that is the least stable of them.

Version one
Here is an optimized crystal structure of Hg3Au from Materials Project. Energies are from PBE.

Properties
- crystal system = cubic
- density (g/cm³) = 14.4

The structure in POSCAR format:
```
Hg3Au
1.0
-4.3358 -1.1812 -0.4237
0.8430 -3.8704 2.1642
-0.9297 1.9997 3.9384
Hg Au
3 1
Direct
0.0000 0.5000 0.5000
0.5000 0.0000 0.5000
0.5000 0.5000 0.0000
0.0000 0.0000 0.0000
```

Version two
Here is an optimized crystal structure of Hg3Au from Materials Project. Energies are from PBE.

Properties
- crystal system = hexagonal
- density (g/cm³) = 13.9

The structure in POSCAR format:
```
Hg3Au
1.0
-4.9294 -0.9684 -3.1840
2.3774 -4.4038 3.2139
-3.4883 1.6843 4.8883
Hg Au
6 2
Direct
0.1674 0.3349 0.2500
0.6651 0.8326 0.2500
0.1674 0.8326 0.2500
0.8326 0.6651 0.7500
0.3349 0.1674 0.7500
0.8326 0.1674 0.7500
0.3333 0.6667 0.7500
0.6667 0.3333 0.2500
```

It is version one that is the least stable of them.